#a
Below is an optimized crystal structure of FeN3Cl5, with properties calculated at the PBE level.

Values from the calculation:
Space group: Pnma, No. 62
V in Å³/cell: 912
Theoretical density in g cm⁻³: 2.00

a = 7.1076 Å, b = 8.1941 Å, c = 15.6668 Å
α = 90.00°, β = 90.00°, γ = 90.00°
Fractional coordinates of all 36 atoms:
Fe1 0.8669 0.7500 0.4274
Fe2 0.6331 0.7500 0.9274
Fe3 0.1331 0.2500 0.5726
Fe4 0.3669 0.2500 0.0726
N1 0.9864 0.7500 0.5077
N2 0.5136 0.7500 0.0077
N3 0.0136 0.2500 0.4923
N4 0.4864 0.2500 0.9923
N5 0.7849 0.9210 0.1643
N6 0.7151 0.5790 0.6643
N7 0.2151 0.4210 0.8357
N8 0.2849 0.0790 0.3357
N9 0.2151 0.0790 0.8357
N10 0.2849 0.4210 0.3357
N11 0.7849 0.5790 0.1643
N12 0.7151 0.9210 0.6643
Cl1 0.7181 0.7500 0.1826
Cl2 0.7819 0.7500 0.6826
Cl3 0.2819 0.2500 0.8174
Cl4 0.2181 0.2500 0.3174
Cl5 0.8097 0.4914 0.3953
Cl6 0.6903 0.0086 0.8953
Cl7 0.1903 0.9914 0.6047
Cl8 0.3097 0.5086 0.1047
Cl9 0.1903 0.5086 0.6047
Cl10 0.3097 0.9914 0.1047
Cl11 0.8097 0.0086 0.3953
Cl12 0.6903 0.4914 0.8953
Cl13 0.5820 0.7500 0.4795
Cl14 0.9180 0.7500 0.9795
Cl15 0.4180 0.2500 0.5205
Cl16 0.0820 0.2500 0.0205
Cl17 0.0753 0.7500 0.3264
Cl18 0.4247 0.7500 0.8264
Cl19 0.9247 0.2500 0.6736
Cl20 0.5753 0.2500 0.1736

***

#b
Below is an optimized crystal structure of FeN3Cl5, with properties calculated at the PBE level.

Values from the calculation:
Space group: Pnma, No. 62
V in Å³/cell: 1130
Theoretical density in g cm⁻³: 1.62

a = 8.7282 Å, b = 8.7537 Å, c = 14.7855 Å
α = 90.00°, β = 90.00°, γ = 90.00°
Fractional coordinates of all 36 atoms:
Fe1 0.2500 0.8107 0.3884
Fe2 0.2500 0.3107 0.1116
Fe3 0.7500 0.1893 0.6116
Fe4 0.7500 0.6893 0.8884
N1 0.2500 0.0408 0.8615
N2 0.2500 0.5408 0.6385
N3 0.7500 0.9592 0.1385
N4 0.7500 0.4592 0.3615
N5 0.1181 0.7999 0.6937
N6 0.3819 0.2999 0.8063
N7 0.6181 0.2001 0.3063
N8 0.8819 0.7001 0.1937
N9 0.8819 0.2001 0.3063
N10 0.6181 0.7001 0.1937
N11 0.3819 0.7999 0.6937
N12 0.1181 0.2999 0.8063
Cl1 0.2500 0.8123 0.2445
Cl2 0.2500 0.3123 0.2555
Cl3 0.7500 0.1877 0.7555
Cl4 0.7500 0.6877 0.7445
Cl5 0.2500 0.4969 0.0197
Cl6 0.2500 0.9969 0.4803
Cl7 0.7500 0.5031 0.9803
Cl8 0.7500 0.0031 0.5197
Cl9 0.2500 0.6969 0.6719
Cl10 0.2500 0.1969 0.8281
Cl11 0.7500 0.3031 0.3281
Cl12 0.7500 0.8031 0.1719
Cl13 0.0340 0.7109 0.4172
Cl14 0.4660 0.2109 0.0828
Cl15 0.5340 0.2891 0.5828
Cl16 0.9660 0.7891 0.9172
Cl17 0.9660 0.2891 0.5828
Cl18 0.5340 0.7891 0.9172
Cl19 0.4660 0.7109 0.4172
Cl20 0.0340 0.2109 0.0828

***

How do the energies compare? Relative to the most stable structure, in meV per atom: #a 0; #b 112.

***

#a
Below is an optimized crystal structure of Gd2SCl4, with properties calculated at the PBE level.

Values from the calculation:
Space group: P-1, No. 2
V in Å³/cell: 445
Theoretical density in g cm⁻³: 3.64

a = 6.7417 Å, b = 7.5669 Å, c = 9.4876 Å
α = 80.57°, β = 110.80°, γ = 89.97°
Fractional coordinates of all 14 atoms:
Gd1 0.6170 0.3185 0.7223
Gd2 0.8937 0.1818 0.2780
Gd3 0.1063 0.8182 0.7220
Gd4 0.3830 0.6815 0.2777
S1 0.8552 0.2492 0.0003
S2 0.1448 0.7508 0.9997
Cl1 0.7133 0.6535 0.6017
Cl2 0.2872 0.4968 0.7398
Cl3 0.4522 0.9981 0.7395
Cl4 0.1121 0.8468 0.3995
Cl5 0.5478 0.0019 0.2605
Cl6 0.7128 0.5032 0.2602
Cl7 0.8879 0.1532 0.6005
Cl8 0.2867 0.3465 0.3983

***

#b
Below is an optimized crystal structure of Gd2SCl4, with properties calculated at the PBE level.

Values from the calculation:
Space group: C2/c, No. 15
V in Å³/cell: 338
Theoretical density in g cm⁻³: 4.80

a = 8.2996 Å, b = 8.2996 Å, c = 6.9603 Å
α = 82.65°, β = 82.65°, γ = 45.41°
Fractional coordinates of all 14 atoms:
Gd1 0.3131 0.9018 0.9223
Gd2 0.9018 0.3131 0.4223
Gd3 0.6869 0.0982 0.0777
Gd4 0.0982 0.6869 0.5777
S1 0.9363 0.0637 0.7500
S2 0.0637 0.9363 0.2500
Cl1 0.4888 0.6904 0.5776
Cl2 0.6904 0.4888 0.0776
Cl3 0.1374 0.3001 0.6810
Cl4 0.3001 0.1374 0.1810
Cl5 0.6999 0.8626 0.8190
Cl6 0.8626 0.6999 0.3190
Cl7 0.3096 0.5112 0.9224
Cl8 0.5112 0.3096 0.4224

***

How do the energies compare? Relative to the most stable structure, in meV per atom: #a 131; #b 0.

***

#a
Below is an optimized crystal structure of SnH8N2Cl6, with properties calculated at the PBE level.

Values from the calculation:
Space group: Fm-3m, No. 225
V in Å³/cell: 265
Theoretical density in g cm⁻³: 2.30

a = 7.2111 Å, b = 7.2111 Å, c = 7.2111 Å
α = 60.00°, β = 60.00°, γ = 60.00°
Fractional coordinates of all 17 atoms:
Sn1 0.0000 0.0000 0.0000
H1 0.6916 0.6916 0.6916
H2 0.0747 0.3084 0.3084
H3 0.3084 0.3084 0.0747
H4 0.3084 0.0747 0.3084
H5 0.6916 0.6916 0.9253
H6 0.6916 0.9253 0.6916
H7 0.9253 0.6916 0.6916
H8 0.3084 0.3084 0.3084
N1 0.7500 0.7500 0.7500
N2 0.2500 0.2500 0.2500
Cl1 0.7575 0.7575 0.2425
Cl2 0.7575 0.2425 0.7575
Cl3 0.2425 0.7575 0.2425
Cl4 0.2425 0.7575 0.7575
Cl5 0.7575 0.2425 0.2425
Cl6 0.2425 0.2425 0.7575

***

#b
Below is an optimized crystal structure of SnH8N2Cl6, with properties calculated at the PBE level.

Values from the calculation:
Space group: Fm-3m, No. 225
V in Å³/cell: 276
Theoretical density in g cm⁻³: 2.21

a = 7.3047 Å, b = 7.3047 Å, c = 7.3047 Å
α = 60.00°, β = 60.00°, γ = 60.00°
Fractional coordinates of all 17 atoms:
Sn1 0.0000 0.0000 0.0000
H1 0.8077 0.8077 0.5768
H2 0.8077 0.5768 0.8077
H3 0.5768 0.8077 0.8077
H4 0.8077 0.8077 0.8077
H5 0.1923 0.1923 0.4232
H6 0.1923 0.4232 0.1923
H7 0.4232 0.1923 0.1923
H8 0.1923 0.1923 0.1923
N1 0.7500 0.7500 0.7500
N2 0.2500 0.2500 0.2500
Cl1 0.7611 0.7611 0.2389
Cl2 0.2389 0.7611 0.2389
Cl3 0.7611 0.2389 0.2389
Cl4 0.2389 0.2389 0.7611
Cl5 0.7611 0.2389 0.7611
Cl6 0.2389 0.7611 0.7611

***

How do the energies compare? Relative to the most stable structure, in meV per atom: #a 0; #b 7.

***

#a
Below is an optimized crystal structure of SbH5Cl6O2, with properties calculated at the PBE level.

Values from the calculation:
Space group: P1, No. 1
V in Å³/cell: 539
Theoretical density in g cm⁻³: 2.29

a = 7.1115 Å, b = 7.1115 Å, c = 12.7866 Å
α = 96.29°, β = 99.83°, γ = 119.75°
Fractional coordinates of all 28 atoms:
Sb1 0.9965 0.2486 0.2468
Sb2 0.0018 0.7497 0.7532
H1 0.6946 0.4324 0.0836
H2 0.5659 0.5133 0.1504
H3 0.4652 0.4689 0.9960
H4 0.3629 0.4155 0.8496
H5 0.6472 0.8871 0.5773
H6 0.3488 0.6110 0.9164
H7 0.6202 0.0688 0.6491
H8 0.5290 0.0290 0.5000
H9 0.4196 0.9711 0.3509
H10 0.3098 0.0699 0.4227
Cl1 0.1926 0.0767 0.6753
Cl2 0.6829 0.5889 0.5910
Cl3 0.0739 0.9955 0.1555
Cl4 0.8400 0.9184 0.8445
Cl5 0.9980 0.0920 0.4090
Cl6 0.4014 0.5173 0.3247
Cl7 0.5983 0.9833 0.1726
Cl8 0.0010 0.4116 0.0890
Cl9 0.1653 0.5800 0.6577
Cl10 0.9222 0.5076 0.3423
Cl11 0.3226 0.9119 0.9110
Cl12 0.8107 0.4257 0.8274
O1 0.5564 0.4370 0.0791
O2 0.3579 0.4773 0.9209
O3 0.6374 0.0207 0.5783
O4 0.4424 0.0591 0.4217

***

#b
Below is an optimized crystal structure of SbH5Cl6O2, with properties calculated at the PBE level.

Values from the calculation:
Space group: C2/c, No. 15
V in Å³/cell: 545
Theoretical density in g cm⁻³: 2.26

a = 7.0787 Å, b = 7.0787 Å, c = 13.5645 Å
α = 69.46°, β = 69.46°, γ = 61.49°
Fractional coordinates of all 28 atoms:
Sb1 0.5000 0.0000 0.5000
Sb2 0.0000 0.5000 0.0000
H1 0.7184 0.2816 0.7500
H2 0.2816 0.7184 0.2500
H3 0.6946 0.1310 0.6669
H4 0.8690 0.3054 0.8331
H5 0.3054 0.8690 0.3331
H6 0.1310 0.6946 0.1669
H7 0.7723 0.3296 0.6008
H8 0.6704 0.2277 0.8992
H9 0.2277 0.6704 0.3992
H10 0.3296 0.7723 0.1008
Cl1 0.2345 0.3273 0.5676
Cl2 0.6727 0.7655 0.9324
Cl3 0.7655 0.6727 0.4324
Cl4 0.3273 0.2345 0.0676
Cl5 0.3429 0.1488 0.3412
Cl6 0.8512 0.6571 0.1588
Cl7 0.6571 0.8512 0.6588
Cl8 0.1488 0.3429 0.8412
Cl9 0.2462 0.8277 0.5924
Cl10 0.1723 0.7538 0.9076
Cl11 0.7538 0.1723 0.4076
Cl12 0.8277 0.2462 0.0924
O1 0.6875 0.2733 0.6695
O2 0.7267 0.3125 0.8305
O3 0.3125 0.7267 0.3305
O4 0.2733 0.6875 0.1695

***

How do the energies compare? Relative to the most stable structure, in meV per atom: #a 9; #b 0.

***

#a
Below is an optimized crystal structure of Hg2ClO, with properties calculated at the PBE level.

Values from the calculation:
Space group: C2/c, No. 15
V in Å³/cell: 353
Theoretical density in g cm⁻³: 8.52

a = 6.8704 Å, b = 6.8704 Å, c = 9.7521 Å
α = 76.05°, β = 76.05°, γ = 52.77°
Fractional coordinates of all 16 atoms:
Hg1 0.2441 0.8567 0.6038
Hg2 0.1433 0.7559 0.8962
Hg3 0.7559 0.1433 0.3962
Hg4 0.8567 0.2441 0.1038
Hg5 0.5943 0.4057 0.7500
Hg6 0.4057 0.5943 0.2500
Hg7 0.0000 0.5000 0.5000
Hg8 0.5000 0.0000 0.0000
Cl1 0.1092 0.5111 0.1406
Cl2 0.4889 0.8908 0.3594
Cl3 0.8908 0.4889 0.8594
Cl4 0.5111 0.1092 0.6406
O1 0.0956 0.7450 0.4393
O2 0.2550 0.9044 0.0607
O3 0.9044 0.2550 0.5607
O4 0.7450 0.0956 0.9393

***

#b
Below is an optimized crystal structure of Hg2ClO, with properties calculated at the PBE level.

Values from the calculation:
Space group: C2/c, No. 15
V in Å³/cell: 432
Theoretical density in g cm⁻³: 6.96

a = 7.2733 Å, b = 7.2733 Å, c = 9.7459 Å
α = 75.40°, β = 75.40°, γ = 61.21°
Fractional coordinates of all 16 atoms:
Hg1 0.5000 0.0000 0.5000
Hg2 0.0000 0.5000 0.0000
Hg3 0.6966 0.3034 0.2500
Hg4 0.3034 0.6966 0.7500
Hg5 0.2850 0.8061 0.1103
Hg6 0.1939 0.7150 0.3897
Hg7 0.7150 0.1939 0.8897
Hg8 0.8061 0.2850 0.6103
Cl1 0.3494 0.0096 0.8739
Cl2 0.9904 0.6506 0.6261
Cl3 0.6506 0.9904 0.1261
Cl4 0.0096 0.3494 0.3739
O1 0.7724 0.3993 0.0354
O2 0.6007 0.2276 0.4646
O3 0.2276 0.6007 0.9646
O4 0.3993 0.7724 0.5354

***

How do the energies compare? Relative to the most stable structure, in meV per atom: #a 0; #b 12.

***

#a
Below is an optimized crystal structure of Li3InCl6, with properties calculated at the PBE level.

Values from the calculation:
Space group: C2, No. 5
V in Å³/cell: 1340
Theoretical density in g cm⁻³: 2.59

a = 6.5551 Å, b = 6.5551 Å, c = 35.8931 Å
α = 89.63°, β = 89.63°, γ = 119.69°
Fractional coordinates of all 60 atoms:
Li1 0.3345 0.0006 0.0835
Li2 0.0184 0.3424 0.0836
Li3 0.6435 0.6542 0.0831
Li4 0.3432 0.6559 0.2500
Li5 0.6582 0.3438 0.2500
Li6 0.9980 0.9985 0.2500
Li7 0.6759 0.9908 0.4167
Li8 0.9908 0.6759 0.4167
Li9 0.3334 0.3334 0.4167
Li10 0.0092 0.3241 0.5833
Li11 0.3241 0.0092 0.5833
Li12 0.6666 0.6666 0.5833
Li13 0.3441 0.6568 0.7500
Li14 0.0015 0.0020 0.7500
Li15 0.6562 0.3418 0.7500
Li16 0.3458 0.3565 0.9169
Li17 0.6576 0.9816 0.9164
Li18 0.9994 0.6655 0.9165
In1 0.3312 0.6688 0.0000
In2 0.3319 0.3304 0.1667
In3 0.6668 0.6668 0.3333
In4 0.0001 0.9999 0.5000
In5 0.3332 0.3332 0.6667
In6 0.6696 0.6681 0.8333
Cl1 0.3312 0.3542 0.0411
Cl2 0.6378 0.9724 0.0445
Cl3 0.0254 0.6667 0.0444
Cl4 0.6403 0.3319 0.1218
Cl5 0.3297 0.6438 0.1256
Cl6 0.0280 0.0276 0.1228
Cl7 0.6448 0.6421 0.2075
Cl8 0.3345 0.0263 0.2111
Cl9 0.0255 0.3324 0.2117
Cl10 0.6628 0.9724 0.2884
Cl11 0.9733 0.6640 0.2884
Cl12 0.3565 0.3561 0.2930
Cl13 0.9764 0.9765 0.3736
Cl14 0.6698 0.3611 0.3783
Cl15 0.3611 0.6697 0.3783
Cl16 0.3057 0.9969 0.4550
Cl17 0.9969 0.3056 0.4550
Cl18 0.6901 0.6900 0.4596
Cl19 0.3100 0.3099 0.5404
Cl20 0.0031 0.6943 0.5450
Cl21 0.6944 0.0031 0.5450
Cl22 0.6389 0.3302 0.6217
Cl23 0.3303 0.6389 0.6217
Cl24 0.0235 0.0236 0.6264
Cl25 0.6439 0.6435 0.7070
Cl26 0.3360 0.0267 0.7116
Cl27 0.0276 0.3372 0.7116
Cl28 0.9737 0.6655 0.7889
Cl29 0.6676 0.9745 0.7883
Cl30 0.3579 0.3552 0.7925
Cl31 0.9724 0.9720 0.8772
Cl32 0.6681 0.3597 0.8782
Cl33 0.3562 0.6703 0.8744
Cl34 0.0276 0.3622 0.9555
Cl35 0.3333 0.9746 0.9556
Cl36 0.6458 0.6688 0.9589

***

#b
Below is an optimized crystal structure of Li3InCl6, with properties calculated at the PBE level.

Values from the calculation:
Space group: Fm-3m, No. 225
V in Å³/cell: 253
Theoretical density in g cm⁻³: 2.29

a = 7.0986 Å, b = 7.0986 Å, c = 7.0986 Å
α = 60.00°, β = 60.00°, γ = 60.00°
Fractional coordinates of all 10 atoms:
Li1 0.7500 0.7500 0.7500
Li2 0.2500 0.2500 0.2500
Li3 0.5000 0.5000 0.5000
In1 0.0000 0.0000 0.0000
Cl1 0.7493 0.2507 0.2507
Cl2 0.2507 0.2507 0.7493
Cl3 0.2507 0.7493 0.7493
Cl4 0.2507 0.7493 0.2507
Cl5 0.7493 0.2507 0.7493
Cl6 0.7493 0.7493 0.2507

***

How do the energies compare? Relative to the most stable structure, in meV per atom: #a 0; #b 232.